[1]
# CeNiPt (GGA-PBE, relaxed)
data_CeNiPt
_space_group_name_H-M_alt 'P 1'
_space_group_IT_number 1
_cell_length_a 4.201
_cell_length_b 6.977
_cell_length_c 7.749
_cell_angle_alpha 90.00
_cell_angle_beta 90.00
_cell_angle_gamma 90.00
loop_
_space_group_symop_operation_xyz
'x,y,z'
loop_
_atom_site_label
_atom_site_type_symbol
_atom_site_fract_x
_atom_site_fract_y
_atom_site_fract_z
Pt1 Pt 0.250 0.280 0.590
Ce1 Ce 0.250 0.500 0.212
Ni1 Ni 0.250 0.689 0.592
Ni2 Ni 0.250 0.189 0.908
Pt2 Pt 0.750 0.720 0.410
Ni3 Ni 0.750 0.811 0.092
Pt3 Pt 0.250 0.780 0.910
Pt4 Pt 0.750 0.220 0.090
Ce2 Ce 0.250 0.000 0.288
Ce3 Ce 0.750 0.500 0.788
Ce4 Ce 0.750 0.000 0.712
Ni4 Ni 0.750 0.311 0.408
# * total DFT energy (no corrections): -6.622 eV per atom
# * spin magnetization: 0.1 μB/f.u.
# * SG: No. 62
# * calculated formation energy: -0.694 eV/atom

***

[2]
# SrLiAlSb2 (GGA-PBE, relaxed)
data_SrLiAlSb2
_space_group_name_H-M_alt 'P 1'
_space_group_IT_number 1
_cell_length_a 4.600
_cell_length_b 4.600
_cell_length_c 7.831
_cell_angle_alpha 90.00
_cell_angle_beta 90.00
_cell_angle_gamma 120.00
loop_
_space_group_symop_operation_xyz
'x,y,z'
loop_
_atom_site_label
_atom_site_type_symbol
_atom_site_fract_x
_atom_site_fract_y
_atom_site_fract_z
Sb1 Sb 0.000 0.000 0.267
Sr1 Sr 0.333 0.667 0.026
Sb2 Sb 0.667 0.333 0.737
Li1 Li 0.667 0.333 0.367
Al1 Al 0.000 0.000 0.603
# * total DFT energy (no corrections): -3.728 eV per atom
# * spin magnetization: 0.0 μB/f.u.
# * energy with MP2020 corrections: -19.0 eV per cell
# * SG: No. 156
# * calculated formation energy: -0.685 eV/atom

***

[3]
# TlIn3 (GGA-PBE, relaxed)
data_TlIn3
_space_group_name_H-M_alt 'P 1'
_space_group_IT_number 1
_cell_length_a 3.293
_cell_length_b 3.293
_cell_length_c 10.620
_cell_angle_alpha 90.00
_cell_angle_beta 90.00
_cell_angle_gamma 90.00
loop_
_space_group_symop_operation_xyz
'x,y,z'
loop_
_atom_site_label
_atom_site_type_symbol
_atom_site_fract_x
_atom_site_fract_y
_atom_site_fract_z
In1 In 0.500 0.500 0.730
In2 In 0.000 0.000 0.500
Tl1 Tl 0.000 0.000 0.000
In3 In 0.500 0.500 0.270
# * total DFT energy (no corrections): -2.639 eV per atom
# * SG: No. 123
# * calculated formation energy: 0.016 eV/atom

***

[4]
# KMgC2O10 (GGA-PBE, relaxed)
data_KMgC2O10
_space_group_name_H-M_alt 'P 1'
_space_group_IT_number 1
_cell_length_a 5.173
_cell_length_b 6.706
_cell_length_c 7.197
_cell_angle_alpha 113.36
_cell_angle_beta 88.74
_cell_angle_gamma 104.73
loop_
_space_group_symop_operation_xyz
'x,y,z'
loop_
_atom_site_label
_atom_site_type_symbol
_atom_site_fract_x
_atom_site_fract_y
_atom_site_fract_z
O1 O 0.312 0.562 0.288
O2 O 0.688 0.438 0.712
K1 K 0.000 0.000 0.000
O3 O 0.385 0.159 0.758
O4 O 0.615 0.841 0.242
O5 O 0.836 0.732 0.485
O6 O 0.523 0.226 0.246
O7 O 0.477 0.774 0.754
C1 C 0.384 0.700 0.203
O8 O 0.219 0.699 0.073
C2 C 0.616 0.300 0.797
Mg1 Mg 0.500 0.500 0.500
O9 O 0.164 0.268 0.515
O10 O 0.781 0.301 0.927
# * total DFT energy (no corrections): -5.500 eV per atom
# * spin magnetization: 9.0 μB/f.u.
# * energy relative to the lowest polymorph listed for this composition: 0.1617 eV/atom
# * energy with MP2020 corrections: -83.9 eV per cell
# * SG: No. 2
# * calculated formation energy: -0.945 eV/atom

***

[5]
# Sm4CrFe33 (GGA-PBE, relaxed)
data_Sm4CrFe33
_space_group_name_H-M_alt 'P 1'
_space_group_IT_number 1
_cell_length_a 6.442
_cell_length_b 6.442
_cell_length_c 12.864
_cell_angle_alpha 82.86
_cell_angle_beta 82.86
_cell_angle_gamma 82.99
loop_
_space_group_symop_operation_xyz
'x,y,z'
loop_
_atom_site_label
_atom_site_type_symbol
_atom_site_fract_x
_atom_site_fract_y
_atom_site_fract_z
Fe1 Fe 0.093 0.093 0.547
Sm1 Sm 0.655 0.655 0.328
Fe2 Fe 0.000 0.500 0.000
Fe3 Fe 0.998 0.998 0.251
Fe4 Fe 0.708 0.000 0.146
Fe5 Fe 0.341 0.341 0.422
Fe6 Fe 0.658 0.156 0.829
Fe7 Fe 0.292 0.708 0.000
Fe8 Fe 0.001 0.294 0.354
Fe9 Fe 0.155 0.658 0.329
Sm2 Sm 0.660 0.660 0.830
Fe10 Fe 0.844 0.343 0.670
Fe11 Fe 0.658 0.155 0.329
Fe12 Fe 0.999 0.502 0.499
Fe13 Fe 0.000 0.000 0.750
Sm3 Sm 0.340 0.340 0.670
Fe14 Fe 0.294 0.001 0.354
Fe15 Fe 0.096 0.096 0.048
Fe16 Fe 0.708 0.292 0.000
Fe17 Fe 0.341 0.844 0.172
Fe18 Fe 0.659 0.659 0.578
Fe19 Fe 0.904 0.904 0.952
Fe20 Fe 0.001 0.707 0.647
Fe21 Fe 0.706 0.295 0.500
Fe22 Fe 0.156 0.658 0.829
Fe23 Fe 0.000 0.708 0.146
Fe24 Fe 0.502 0.999 0.499
Fe25 Fe 0.000 0.292 0.854
Fe26 Fe 0.343 0.844 0.670
Fe27 Fe 0.844 0.341 0.172
Cr1 Cr 0.908 0.908 0.454
Fe28 Fe 0.707 0.001 0.647
Fe29 Fe 0.500 0.000 0.000
Fe30 Fe 0.295 0.706 0.500
Fe31 Fe 0.292 0.000 0.854
Fe32 Fe 0.658 0.658 0.078
Fe33 Fe 0.342 0.342 0.922
Sm4 Sm 0.341 0.341 0.171
# * total DFT energy (no corrections): -8.081 eV per atom
# * spin magnetization: 72.5 μB/f.u.
# * SG: No. 8
# * calculated formation energy: 0.025 eV/atom

***

[6]
# Mn3C (GGA-PBE, relaxed)
data_Mn3C
_space_group_name_H-M_alt 'P 1'
_space_group_IT_number 1
_cell_length_a 4.939
_cell_length_b 6.704
_cell_length_c 4.437
_cell_angle_alpha 90.00
_cell_angle_beta 90.00
_cell_angle_gamma 90.00
loop_
_space_group_symop_operation_xyz
'x,y,z'
loop_
_atom_site_label
_atom_site_type_symbol
_atom_site_fract_x
_atom_site_fract_y
_atom_site_fract_z
Mn1 Mn 0.531 0.250 0.840
Mn2 Mn 0.315 0.934 0.658
Mn3 Mn 0.815 0.566 0.842
Mn4 Mn 0.031 0.250 0.660
Mn5 Mn 0.185 0.434 0.158
C1 C 0.878 0.250 0.066
Mn6 Mn 0.969 0.750 0.340
C2 C 0.122 0.750 0.934
Mn7 Mn 0.685 0.066 0.342
Mn8 Mn 0.815 0.934 0.842
C3 C 0.378 0.250 0.434
Mn9 Mn 0.685 0.434 0.342
Mn10 Mn 0.469 0.750 0.160
Mn11 Mn 0.185 0.066 0.158
Mn12 Mn 0.315 0.566 0.658
C4 C 0.622 0.750 0.566
# * total DFT energy (no corrections): -9.251 eV per atom
# * spin magnetization: 0.5 μB/f.u.
# * SG: No. 62
# * calculated formation energy: -0.072 eV/atom

***

[7]
# Ca2SiO4 (GGA-PBE, relaxed)
data_Ca2SiO4
_space_group_name_H-M_alt 'P 1'
_space_group_IT_number 1
_cell_length_a 5.124
_cell_length_b 6.809
_cell_length_c 11.344
_cell_angle_alpha 90.00
_cell_angle_beta 90.00
_cell_angle_gamma 90.00
loop_
_space_group_symop_operation_xyz
'x,y,z'
loop_
_atom_site_label
_atom_site_type_symbol
_atom_site_fract_x
_atom_site_fract_y
_atom_site_fract_z
O1 O 0.704 0.555 0.162
Ca1 Ca 0.992 0.250 0.719
Ca2 Ca 0.500 0.500 0.500
O2 O 0.796 0.945 0.662
Si1 Si 0.927 0.750 0.596
O3 O 0.297 0.250 0.039
Si2 Si 0.427 0.250 0.904
Si3 Si 0.573 0.750 0.096
O4 O 0.253 0.750 0.093
O5 O 0.797 0.750 0.461
Ca3 Ca 0.500 0.000 0.500
Ca4 Ca 0.000 0.000 0.000
Ca5 Ca 0.492 0.750 0.781
Ca6 Ca 0.008 0.750 0.281
O6 O 0.204 0.445 0.338
O7 O 0.796 0.555 0.662
Ca7 Ca 0.000 0.500 0.000
O8 O 0.296 0.445 0.838
O9 O 0.203 0.250 0.539
O10 O 0.247 0.750 0.593
O11 O 0.204 0.055 0.338
O12 O 0.747 0.250 0.907
O13 O 0.296 0.055 0.838
O14 O 0.703 0.750 0.961
Ca8 Ca 0.508 0.250 0.219
O15 O 0.753 0.250 0.407
Si4 Si 0.073 0.250 0.404
O16 O 0.704 0.945 0.162
# * total DFT energy (no corrections): -7.260 eV per atom
# * energy relative to the lowest polymorph listed for this composition: 0.0000 eV/atom
# * energy with MP2020 corrections: -214.3 eV per cell
# * SG: No. 62
# * calculated formation energy: -3.477 eV/atom

***

[8]
# ZrSn (GGA-PBE, relaxed)
data_ZrSn
_space_group_name_H-M_alt 'P 1'
_space_group_IT_number 1
_cell_length_a 5.318
_cell_length_b 5.604
_cell_length_c 12.601
_cell_angle_alpha 90.00
_cell_angle_beta 90.00
_cell_angle_gamma 90.00
loop_
_space_group_symop_operation_xyz
'x,y,z'
loop_
_atom_site_label
_atom_site_type_symbol
_atom_site_fract_x
_atom_site_fract_y
_atom_site_fract_z
Zr1 Zr 0.500 0.833 0.125
Zr2 Zr 0.000 0.661 0.500
Sn1 Sn 0.000 0.167 0.877
Zr3 Zr 0.500 0.339 0.000
Sn2 Sn 0.000 0.660 0.750
Zr4 Zr 0.500 0.322 0.500
Sn3 Sn 0.000 0.167 0.123
Sn4 Sn 0.500 0.340 0.250
Sn5 Sn 0.000 0.660 0.250
Zr5 Zr 0.000 0.678 0.000
Zr6 Zr 0.000 0.167 0.375
Zr7 Zr 0.500 0.833 0.875
Sn6 Sn 0.500 0.340 0.750
Zr8 Zr 0.000 0.167 0.625
Sn7 Sn 0.500 0.833 0.377
Sn8 Sn 0.500 0.833 0.623
# * total DFT energy (no corrections): -6.478 eV per atom
# * spin magnetization: 0.0 μB/f.u.
# * SG: No. 59
# * calculated formation energy: -0.199 eV/atom

***

[9]
# Ba3CaLa2Cu6O13 (GGA-PBE, relaxed)
data_Ba3CaLa2Cu6O13
_space_group_name_H-M_alt 'P 1'
_space_group_IT_number 1
_cell_length_a 5.574
_cell_length_b 5.574
_cell_length_c 12.450
_cell_angle_alpha 77.52
_cell_angle_beta 77.52
_cell_angle_gamma 90.98
loop_
_space_group_symop_operation_xyz
'x,y,z'
loop_
_atom_site_label
_atom_site_type_symbol
_atom_site_fract_x
_atom_site_fract_y
_atom_site_fract_z
O1 O 0.058 0.096 0.853
O2 O 0.435 0.935 0.633
O3 O 0.264 0.764 0.016
La1 La 0.752 0.252 0.496
Ba1 Ba 0.101 0.601 0.813
Ba2 Ba 0.585 0.085 0.817
O4 O 0.596 0.558 0.853
O5 O 0.436 0.435 0.629
Cu1 Cu 0.829 0.830 0.343
O6 O 0.935 0.936 0.629
O7 O 0.081 0.581 0.354
O8 O 0.566 0.572 0.362
O9 O 0.935 0.435 0.628
O10 O 0.072 0.066 0.362
Cu2 Cu 0.006 0.985 0.006
O11 O 0.853 0.935 0.155
Cu3 Cu 0.678 0.676 0.647
O12 O 0.435 0.353 0.155
O13 O 0.563 0.063 0.365
Cu4 Cu 0.330 0.329 0.343
La2 La 0.251 0.751 0.498
Cu5 Cu 0.176 0.178 0.647
Ba3 Ba 0.916 0.416 0.182
Cu6 Cu 0.485 0.506 0.006
Ca1 Ca 0.413 0.913 0.208
# * total DFT energy (no corrections): -6.097 eV per atom
# * spin magnetization: 0.0 μB/f.u.
# * energy relative to the lowest polymorph listed for this composition: 0.0095 eV/atom
# * energy with MP2020 corrections: -161.4 eV per cell
# * SG: No. 8
# * calculated formation energy: -2.192 eV/atom

***

[10]
# Ca5TaTi3AlSi5O25 (GGA-PBE, relaxed)
data_Ca5TaTi3AlSi5O25
_space_group_name_H-M_alt 'P 1'
_space_group_IT_number 1
_cell_length_a 5.490
_cell_length_b 7.136
_cell_length_c 25.187
_cell_angle_alpha 84.49
_cell_angle_beta 85.72
_cell_angle_gamma 75.89
loop_
_space_group_symop_operation_xyz
'x,y,z'
loop_
_atom_site_label
_atom_site_type_symbol
_atom_site_fract_x
_atom_site_fract_y
_atom_site_fract_z
O1 O 0.742 0.838 0.223
Si1 Si 0.347 0.984 0.737
O2 O 0.535 0.653 0.539
O3 O 0.974 0.364 0.448
O4 O 0.573 0.562 0.649
O5 O 0.658 0.960 0.577
O6 O 0.026 0.636 0.552
O7 O 0.796 0.142 0.387
O8 O 0.262 0.946 0.063
Ca1 Ca 0.155 0.111 0.334
O9 O 0.858 0.363 0.977
O10 O 0.342 0.040 0.423
O11 O 0.204 0.858 0.613
O12 O 0.399 0.516 0.925
O13 O 0.465 0.347 0.461
Si2 Si 0.053 0.812 0.064
O14 O 0.601 0.484 0.075
O15 O 0.621 0.839 0.751
O16 O 0.663 0.745 0.863
O17 O 0.221 0.043 0.950
Si3 Si 0.752 0.776 0.538
Ti1 Ti 0.897 0.302 0.799
O18 O 0.379 0.161 0.249
O19 O 0.738 0.054 0.937
O20 O 0.179 0.759 0.850
O21 O 0.404 0.079 0.676
O22 O 0.258 0.162 0.777
Ca2 Ca 0.845 0.889 0.666
O23 O 0.800 0.322 0.724
O24 O 0.064 0.547 0.662
Ca3 Ca 0.561 0.882 0.134
Ca4 Ca 0.247 0.689 0.468
Ca5 Ca 0.040 0.314 0.065
O25 O 0.427 0.438 0.351
Si4 Si 0.653 0.016 0.263
O26 O 0.405 0.263 0.014
O27 O 0.198 0.936 0.187
Al1 Al 0.699 0.401 0.399
Ca6 Ca 0.439 0.118 0.866
Ca7 Ca 0.642 0.512 0.267
Ta1 Ta 0.702 0.899 0.400
O28 O 0.595 0.737 0.986
O29 O 0.936 0.453 0.338
O30 O 0.942 0.240 0.623
O31 O 0.802 0.064 0.813
O32 O 0.596 0.921 0.324
Ti2 Ti 0.500 0.000 0.000
O33 O 0.142 0.637 0.023
O34 O 0.997 0.537 0.786
O35 O 0.137 0.854 0.737
Si5 Si 0.152 0.579 0.337
O36 O 0.863 0.146 0.263
O37 O 0.602 0.658 0.413
Si6 Si 0.453 0.613 0.864
O38 O 0.337 0.255 0.137
Ca8 Ca 0.753 0.311 0.532
O39 O 0.821 0.241 0.150
O40 O 0.058 0.760 0.377
Ti3 Ti 0.900 0.800 0.801
O41 O 0.804 0.875 0.477
O42 O 0.459 0.562 0.177
O43 O 0.398 0.342 0.587
Si7 Si 0.248 0.224 0.462
O44 O 0.196 0.125 0.523
Ti4 Ti 0.100 0.200 0.199
Al2 Al 0.301 0.599 0.601
Ca9 Ca 0.960 0.686 0.935
Ti5 Ti 0.500 0.500 0.000
O45 O 0.200 0.678 0.276
Si8 Si 0.947 0.188 0.936
O46 O 0.541 0.438 0.823
Ti6 Ti 0.103 0.698 0.201
Ta2 Ta 0.298 0.101 0.600
O47 O 0.001 0.717 0.125
Ca10 Ca 0.358 0.488 0.733
Si9 Si 0.848 0.421 0.663
Si10 Si 0.547 0.387 0.136
O48 O 0.003 0.463 0.214
O49 O 0.779 0.957 0.050
O50 O 0.999 0.283 0.875
# * total DFT energy (no corrections): -8.040 eV per atom
# * energy with MP2020 corrections: -677.5 eV per cell
# * SG: No. 2
# * calculated formation energy: -3.465 eV/atom

***

[11]
# ScP2O2 (GGA-PBE, relaxed)
data_ScP2O2
_space_group_name_H-M_alt 'P 1'
_space_group_IT_number 1
_cell_length_a 9.650
_cell_length_b 9.650
_cell_length_c 9.650
_cell_angle_alpha 122.98
_cell_angle_beta 122.98
_cell_angle_gamma 84.91
loop_
_space_group_symop_operation_xyz
'x,y,z'
loop_
_atom_site_label
_atom_site_type_symbol
_atom_site_fract_x
_atom_site_fract_y
_atom_site_fract_z
P1 P 0.087 0.941 0.146
O1 O 0.015 0.710 0.695
P2 P 0.691 0.045 0.354
P3 P 0.691 0.337 0.646
P4 P 0.059 0.205 0.146
O2 O 0.735 0.540 0.805
P5 P 0.059 0.913 0.854
O3 O 0.735 0.931 0.195
Sc1 Sc 0.875 0.125 0.250
P6 P 0.795 0.941 0.854
Sc2 Sc 0.375 0.125 0.250
O4 O 0.460 0.265 0.195
O5 O 0.015 0.319 0.305
P7 P 0.663 0.309 0.354
O6 O 0.681 0.985 0.695
P8 P 0.955 0.309 0.646
O7 O 0.290 0.985 0.305
Sc3 Sc 0.875 0.125 0.750
O8 O 0.069 0.265 0.805
Sc4 Sc 0.875 0.625 0.750
# * total DFT energy (no corrections): -6.672 eV per atom
# * spin magnetization: 0.0 μB/f.u.
# * energy with MP2020 corrections: -138.9 eV per cell
# * SG: No. 141
# * calculated formation energy: -1.535 eV/atom

***

[12]
# Hf2Co7 (GGA-PBE, relaxed)
data_Hf2Co7
_space_group_name_H-M_alt 'P 1'
_space_group_IT_number 1
_cell_length_a 4.751
_cell_length_b 4.751
_cell_length_c 12.069
_cell_angle_alpha 87.85
_cell_angle_beta 87.85
_cell_angle_gamma 121.67
loop_
_space_group_symop_operation_xyz
'x,y,z'
loop_
_atom_site_label
_atom_site_type_symbol
_atom_site_fract_x
_atom_site_fract_y
_atom_site_fract_z
Co1 Co 0.393 0.061 0.923
Co2 Co 0.866 0.531 0.423
Co3 Co 0.764 0.264 0.750
Co4 Co 0.469 0.134 0.577
Co5 Co 0.607 0.939 0.077
Hf1 Hf 0.260 0.260 0.116
Co6 Co 0.531 0.866 0.423
Co7 Co 0.939 0.607 0.077
Co8 Co 0.264 0.764 0.750
Co9 Co 0.264 0.264 0.749
Hf2 Hf 0.210 0.210 0.383
Co10 Co 0.736 0.736 0.251
Co11 Co 0.236 0.736 0.250
Co12 Co 0.736 0.236 0.250
Co13 Co 0.061 0.393 0.923
Hf3 Hf 0.740 0.740 0.884
Co14 Co 0.134 0.469 0.577
Hf4 Hf 0.790 0.790 0.617
# * total DFT energy (no corrections): -7.996 eV per atom
# * spin magnetization: 7.7 μB/f.u.
# * SG: No. 12
# * calculated formation energy: -0.255 eV/atom

***

[13]
# YMg2 (GGA-PBE, relaxed)
data_YMg2
_space_group_name_H-M_alt 'P 1'
_space_group_IT_number 1
_cell_length_a 3.322
_cell_length_b 3.322
_cell_length_c 16.689
_cell_angle_alpha 90.00
_cell_angle_beta 90.00
_cell_angle_gamma 120.00
loop_
_space_group_symop_operation_xyz
'x,y,z'
loop_
_atom_site_label
_atom_site_type_symbol
_atom_site_fract_x
_atom_site_fract_y
_atom_site_fract_z
Mg1 Mg 0.000 0.000 0.000
Y1 Y 0.667 0.333 0.169
Y2 Y 0.667 0.333 0.831
Mg2 Mg 0.000 0.000 0.659
Mg3 Mg 0.000 0.000 0.341
Mg4 Mg 0.667 0.333 0.500
# * total DFT energy (no corrections): -3.177 eV per atom
# * spin magnetization: 0.0 μB/f.u.
# * SG: No. 187
# * calculated formation energy: 0.045 eV/atom

***

[14]
# NiBTe (GGA-PBE, relaxed)
data_NiBTe
_space_group_name_H-M_alt 'P 1'
_space_group_IT_number 1
_cell_length_a 4.039
_cell_length_b 4.039
_cell_length_c 4.039
_cell_angle_alpha 60.00
_cell_angle_beta 60.00
_cell_angle_gamma 60.00
loop_
_space_group_symop_operation_xyz
'x,y,z'
loop_
_atom_site_label
_atom_site_type_symbol
_atom_site_fract_x
_atom_site_fract_y
_atom_site_fract_z
Ni1 Ni 0.750 0.750 0.750
Te1 Te 0.000 0.000 0.000
B1 B 0.500 0.500 0.500
# * total DFT energy (no corrections): -4.462 eV per atom
# * spin magnetization: 0.0 μB/f.u.
# * energy with MP2020 corrections: -13.8 eV per cell
# * SG: No. 216
# * calculated formation energy: 0.598 eV/atom